(1)
# V3SiP5O19

Crystalline V3SiP5O19 at its relaxed geometry (PBE with a Hubbard U, the Materials Project).

Unit cell a=14.5895 b=14.5895 c=7.7214 alpha=90.00 beta=90.00 gamma=120.00
Closest atoms and distances in Å follow each position.
Element x y z (fractional)
O (0.2681, 0.8573, 0.0880)  1 P 1.52
O (0.9691, 0.2108, 0.4088)  1 P 1.51
P (0.8523, 0.7688, 0.2473)  4 O 1.51-1.60
O (0.9272, 0.0439, 0.2449)  2 P 1.58-1.60
O (0.9030, 0.6965, 0.2494)  1 P 1.56
O (0.2655, 0.3640, 0.2475)  1 P 1.56
O (0.0000, 0.0000, 0.5019)  1 P 1.44
O (0.3333, 0.6667, 0.5083)  2 Si 1.60
O (0.6965, 0.7935, 0.7494)  1 P 1.56
O (0.2437, 0.0393, 0.0757)  1 P 1.52
O (0.0000, 0.0000, 0.0019)  1 P 1.44
P (0.2217, 0.7894, 0.2483)  4 O 1.52-1.59
P (0.5677, 0.7783, 0.2483)  4 O 1.52-1.59
O (0.6018, 0.0608, 0.2571)  1 P 1.56
O (0.6360, 0.9015, 0.2475)  1 P 1.56
Si (0.6667, 0.3333, 0.8015)  4 O 1.60-1.63
O (0.9607, 0.2044, 0.0757)  1 P 1.52
Si (0.6667, 0.3333, 0.2152)  4 O 1.60-1.62
O (0.6144, 0.5424, 0.0890)  1 P 1.51
P (0.2312, 0.0835, 0.2473)  4 O 1.51-1.60
O (0.4108, 0.2681, 0.5880)  1 P 1.52
O (0.0970, 0.3035, 0.7494)  1 P 1.56
P (0.4838, 0.9048, 0.7597)  4 O 1.51-1.59
P (0.7688, 0.9165, 0.7473)  4 O 1.51-1.60
O (0.7583, 0.9691, 0.9088)  1 P 1.51
O (0.3055, 0.5509, 0.2277)  1 P 1.59, 1 Si 1.63
O (0.5759, 0.7331, 0.4218)  1 P 1.52
O (0.2108, 0.2417, 0.9088)  1 P 1.51
O (0.2417, 0.0309, 0.4088)  1 P 1.51
P (0.7783, 0.2106, 0.7483)  4 O 1.52-1.59
V (0.0144, 0.3387, 0.9468)  6 O 1.96-2.16
O (0.6022, 0.5508, 0.4223)  1 P 1.52
O (0.7319, 0.1427, 0.5880)  1 P 1.52
O (0.2065, 0.9030, 0.7494)  1 P 1.56
Si (0.3333, 0.6667, 0.7152)  4 O 1.60-1.62
O (0.9561, 0.8833, 0.2449)  2 P 1.58-1.60
P (0.1477, 0.2312, 0.7473)  4 O 1.51-1.60
O (0.7345, 0.6360, 0.7475)  1 P 1.56
O (0.9392, 0.5410, 0.2571)  1 P 1.56
O (0.0719, 0.6144, 0.5890)  1 P 1.51
O (0.7935, 0.0970, 0.2494)  1 P 1.56
V (0.3428, 0.3200, 0.0555)  6 O 1.93-2.16
P (0.7894, 0.5677, 0.7483)  4 O 1.52-1.59
O (0.3640, 0.0985, 0.7475)  1 P 1.56
O (0.4576, 0.0719, 0.0890)  1 P 1.51
V (0.6613, 0.6756, 0.9468)  6 O 1.96-2.16
V (0.6572, 0.6800, 0.5555)  6 O 1.93-2.16
P (0.2106, 0.4323, 0.2483)  4 O 1.52-1.59
O (0.8833, 0.9272, 0.7449)  2 P 1.58-1.60
O (0.2669, 0.8428, 0.4218)  1 P 1.52
V (0.3200, 0.9772, 0.5555)  6 O 1.93-2.16
O (0.3982, 0.9392, 0.7571)  1 P 1.56
O (0.6667, 0.3333, 0.0083)  2 Si 1.60
O (0.8573, 0.5892, 0.5880)  1 P 1.52
O (0.4228, 0.7805, 0.7907)  1 P 1.59, 1 Si 1.62
V (0.0228, 0.3428, 0.5555)  6 O 1.93-2.16
O (0.6945, 0.4491, 0.7277)  1 P 1.59, 1 Si 1.63
V (0.3244, 0.9856, 0.9468)  6 O 1.96-2.16
O (0.5892, 0.7319, 0.0880)  1 P 1.52
V (0.9772, 0.6572, 0.0555)  6 O 1.93-2.16
P (0.4210, 0.5162, 0.7597)  4 O 1.51-1.59
O (0.3035, 0.2065, 0.2494)  1 P 1.56
P (0.9165, 0.1477, 0.2473)  4 O 1.51-1.60
O (0.0439, 0.1167, 0.7449)  2 P 1.58-1.60
O (0.2195, 0.6422, 0.7907)  1 P 1.59, 1 Si 1.62
O (0.9486, 0.3978, 0.4223)  1 P 1.52
O (0.2454, 0.6945, 0.2277)  1 P 1.59, 1 Si 1.63
O (0.7892, 0.7583, 0.4088)  1 P 1.51
O (0.7563, 0.9607, 0.5757)  1 P 1.52
O (0.0309, 0.7892, 0.9088)  1 P 1.51
O (0.1427, 0.4108, 0.0880)  1 P 1.52
O (0.4241, 0.2669, 0.9218)  1 P 1.52
O (0.9015, 0.2655, 0.7475)  1 P 1.56
O (0.5424, 0.9281, 0.5890)  1 P 1.51
O (0.5410, 0.6018, 0.7571)  1 P 1.56
P (0.5162, 0.0952, 0.2597)  4 O 1.51-1.59
O (0.5509, 0.2454, 0.7277)  1 P 1.59, 1 Si 1.63
O (0.5508, 0.9486, 0.9223)  1 P 1.52
O (0.3578, 0.5772, 0.7907)  1 P 1.59, 1 Si 1.62
O (0.2044, 0.2437, 0.5757)  1 P 1.52
V (0.6756, 0.0144, 0.4468)  6 O 1.96-2.16
O (0.0514, 0.6022, 0.9223)  1 P 1.52
O (0.8428, 0.5759, 0.9218)  1 P 1.52
O (0.7956, 0.7563, 0.0757)  1 P 1.52
V (0.3387, 0.3244, 0.4468)  6 O 1.96-2.16
O (0.7546, 0.3055, 0.7277)  1 P 1.59, 1 Si 1.63
O (0.3978, 0.4492, 0.9223)  1 P 1.52
Si (0.3333, 0.6667, 0.3015)  4 O 1.60-1.63
P (0.0835, 0.8523, 0.7473)  4 O 1.51-1.60
O (0.1167, 0.0728, 0.2449)  2 P 1.58-1.60
O (0.5772, 0.2195, 0.2907)  1 P 1.59, 1 Si 1.62
O (0.6422, 0.4228, 0.2907)  1 P 1.59, 1 Si 1.62
P (0.4323, 0.2217, 0.7483)  4 O 1.52-1.59
O (0.9281, 0.3856, 0.0890)  1 P 1.51
O (0.0728, 0.9561, 0.7449)  2 P 1.58-1.60
O (0.3856, 0.4576, 0.5890)  1 P 1.51
V (0.9856, 0.6613, 0.4468)  6 O 1.96-2.16
P (0.5790, 0.4838, 0.2597)  4 O 1.51-1.59
O (0.0985, 0.7345, 0.2475)  1 P 1.56
O (0.1572, 0.4241, 0.4218)  1 P 1.52
P (0.0952, 0.5790, 0.7597)  4 O 1.51-1.59
P (0.0000, 0.0000, 0.3149)  4 O 1.44-1.58
O (0.4590, 0.3982, 0.2571)  1 P 1.56
O (0.7331, 0.1572, 0.9218)  1 P 1.52
O (0.0608, 0.4590, 0.7571)  1 P 1.56
O (0.7805, 0.3578, 0.2907)  1 P 1.59, 1 Si 1.62
O (0.4491, 0.7546, 0.2277)  1 P 1.59, 1 Si 1.63
O (0.4492, 0.0514, 0.4223)  1 P 1.52
P (0.9048, 0.4210, 0.2597)  4 O 1.51-1.59
V (0.6800, 0.0228, 0.0555)  6 O 1.93-2.16
P (0.0000, 0.0000, 0.8149)  4 O 1.44-1.58
O (0.0393, 0.7956, 0.5757)  1 P 1.52

Output
The volume is 12.71 Å³ per atom. The value obtained for the final energy is -848.2 eV for the cell shown.


(2)
# Tl2Mo2P2O11

Crystalline Tl2Mo2P2O11 at its relaxed geometry (PBE with a Hubbard U, the Materials Project).

Unit cell a=10.3868 b=10.1378 c=10.1415 alpha=82.31 beta=90.00 gamma=90.00
Closest atoms and distances in Å follow each position.
Element x y z (fractional)
P (0.8757, 0.0653, 0.6050)  4 O 1.55-1.58
P (0.9236, 0.6033, 0.8738)  4 O 1.55-1.56
O (0.4808, 0.0268, 0.9760)  1 P 1.56
O (0.5616, 0.6819, 0.2885)  1 Mo 1.74
Tl (0.3205, 0.4694, 0.7602)  5 O 2.87-3.17
Tl (0.8205, 0.5306, 0.2398)  5 O 2.87-3.17
Mo (0.1773, 0.6021, 0.0773)  2 O 1.75-1.94
P (0.6248, 0.5650, 0.6047)  4 O 1.55-1.57
Mo (0.3225, 0.1021, 0.0768)  2 O 1.75-1.94
Mo (0.5845, 0.8859, 0.6543)  2 O 1.74-1.93
P (0.3757, 0.9347, 0.3950)  4 O 1.55-1.58
O (0.5545, 0.2550, 0.8669)  1 P 1.55
P (0.1248, 0.4350, 0.3953)  4 O 1.55-1.57
Tl (0.4194, 0.2429, 0.5177)  7 O 2.95-3.23
O (0.9386, 0.1835, 0.2888)  1 Mo 1.74
O (0.4452, 0.2448, 0.1333)  1 P 1.55
O (0.7144, 0.0681, 0.9275)  1 P 1.56
O (0.9457, 0.5667, 0.7314)  1 P 1.56
O (0.0545, 0.7450, 0.1331)  1 P 1.55
O (0.5010, 0.5306, 0.5279)  1 P 1.57
O (0.4078, 0.9804, 0.2463)  1 P 1.55
O (0.2144, 0.9319, 0.0725)  1 P 1.56
O (0.2663, 0.1804, 0.9235)  1 Mo 1.75
O (0.0195, 0.5267, 0.9748)  1 P 1.56
Mo (0.6773, 0.3979, 0.9227)  2 O 1.75-1.94
O (0.7589, 0.9882, 0.5581)  1 P 1.55
O (0.7663, 0.8196, 0.0765)  1 Mo 1.75
O (0.7449, 0.4936, 0.5582)  1 P 1.55
O (0.2589, 0.0118, 0.4420)  1 P 1.55
P (0.4236, 0.3967, 0.1262)  4 O 1.55-1.56
O (0.1982, 0.1659, 0.1968)  2 Mo 1.93-1.94
P (0.0764, 0.8968, 0.1255)  4 O 1.55-1.56
O (0.0010, 0.4694, 0.4721)  1 P 1.57
O (0.4386, 0.8165, 0.7112)  1 Mo 1.74
Mo (0.9147, 0.3846, 0.6536)  2 O 1.74-1.94
O (0.3019, 0.6662, 0.1964)  2 Mo 1.94
O (0.8019, 0.3338, 0.8036)  2 Mo 1.94
O (0.9808, 0.9732, 0.0240)  1 P 1.56
O (0.9992, 0.0282, 0.5275)  1 P 1.58
O (0.7338, 0.3198, 0.0762)  1 Mo 1.75
O (0.5195, 0.4733, 0.0252)  1 P 1.56
Tl (0.6755, 0.0398, 0.2428)  5 O 2.84-3.16
Mo (0.8225, 0.8979, 0.9232)  2 O 1.75-1.94
Tl (0.1755, 0.9602, 0.7572)  5 O 2.84-3.16
O (0.5530, 0.0654, 0.7327)  1 P 1.56
O (0.2449, 0.5064, 0.4418)  1 P 1.55
O (0.5925, 0.5197, 0.7535)  1 P 1.55
P (0.5764, 0.1032, 0.8745)  4 O 1.55-1.56
O (0.4992, 0.9718, 0.4725)  1 P 1.58
O (0.6982, 0.8341, 0.8032)  2 Mo 1.93-1.94
O (0.0616, 0.3181, 0.7115)  1 Mo 1.74
O (0.8506, 0.2172, 0.5759)  1 P 1.55
O (0.9078, 0.0196, 0.7537)  1 P 1.55
O (0.0925, 0.4803, 0.2465)  1 P 1.55
O (0.3506, 0.7828, 0.4241)  1 P 1.55
Tl (0.5000, 0.7498, 0.0005)  8 O 2.79-2.99
Tl (0.9194, 0.7571, 0.4823)  7 O 2.95-3.23
O (0.4457, 0.4333, 0.2686)  1 P 1.56
Mo (0.4147, 0.6154, 0.3464)  2 O 1.74-1.94
O (0.0530, 0.9346, 0.2673)  1 P 1.56
O (0.7857, 0.5679, 0.9277)  1 P 1.56
O (0.6512, 0.7182, 0.5757)  1 P 1.57
O (0.1512, 0.2818, 0.4243)  1 P 1.57
O (0.2338, 0.6802, 0.9238)  1 Mo 1.75
O (0.9452, 0.7552, 0.8667)  1 P 1.55
Mo (0.0845, 0.1141, 0.3457)  2 O 1.74-1.93
Tl (0.0000, 0.2502, 0.9995)  8 O 2.79-2.99
O (0.2857, 0.4321, 0.0723)  1 P 1.56

Output
The volume is 15.56 Å³ per atom. The value obtained for the final energy is -460.2 eV for the cell shown.


(3)
# MgNiTe4O12

Crystalline MgNiTe4O12 at its relaxed geometry (PBE with a Hubbard U, the Materials Project).

Unit cell a=5.7864 b=11.3813 c=10.1003 alpha=27.65 beta=50.08 gamma=55.50
Closest atoms and distances in Å follow each position.
Element x y z (fractional)
Ni (0.3161, 0.0004, 0.2919)  6 O 2.02-2.21
O (0.7756, 0.3999, 0.3230)  2 Te 1.96-2.16, 1 Mg 2.14
O (0.2408, 0.1493, 0.5970)  1 Te 1.95, 1 Mg 1.99
Mg (0.1623, 0.4904, 0.2085)  4 O 1.96-2.14
O (0.0900, 0.2989, 0.7529)  2 Te 1.97-2.00
Te (0.5394, 0.9854, 0.4864)  5 O 2.06-2.30
O (0.9024, 0.7034, 0.2018)  1 Te 1.90, 1 Mg 1.96
O (0.5944, 0.6458, 0.9123)  2 Te 2.01-2.11, 1 Mg 2.09
O (0.9183, 0.1845, 0.2175)  2 Te 2.00-2.10, 1 Ni 2.05
Te (0.9874, 0.9986, 0.9780)  6 O 1.90-2.05
O (0.3321, 0.8218, 0.1092)  2 Te 1.98
O (0.6163, 0.1537, 0.9016)  1 Te 1.93, 1 Ni 2.02
Te (0.4298, 0.5064, 0.4838)  3 O 1.97-2.16
O (0.1253, 0.7955, 0.7376)  1 Te 1.96
O (0.3301, 0.3159, 0.1111)  1 Te 1.97, 1 Ni 2.18
O (0.1761, 0.6617, 0.5999)  1 Te 1.95, 1 Ni 2.06
Te (0.9828, 0.5010, 0.9829)  6 O 1.95-2.01
O (0.7188, 0.8755, 0.3513)  2 Te 2.05-2.06, 1 Ni 2.08

Output
The volume is 13.15 Å³ per atom. Its energy above the most stable polymorph in this dataset is 52 meV per atom.


(4)
# MgMnV4NiO12

Crystalline MgMnV4NiO12 at its relaxed geometry (PBE with a Hubbard U, the Materials Project).

Unit cell a=7.2632 b=7.2490 c=5.6091 alpha=76.00 beta=103.87 gamma=101.19
Closest atoms and distances in Å follow each position.
Element x y z (fractional)
O (0.8234, 0.0051, 0.8822)  1 V 1.77
O (0.5929, 0.9437, 0.1902)  1 V 1.76
Mg (0.4143, 0.4157, 0.7553)  4 O 1.99-2.06
O (0.9442, 0.5941, 0.3089)  1 V 1.76
O (0.1293, 0.3778, 0.7695)  1 V 1.78
O (0.6762, 0.3104, 0.5267)  1 V 1.72
O (0.3118, 0.6747, 0.9716)  1 V 1.72
V (0.1271, 0.6282, 0.6467)  2 O 1.77-1.78
V (0.8107, 0.3647, 0.2981)  4 O 1.72-1.81
V (0.6280, 0.1281, 0.8517)  2 O 1.77-1.78
O (0.3781, 0.1319, 0.7319)  1 V 1.78
O (0.1887, 0.9515, 0.1502)  1 V 1.72
O (0.6598, 0.3622, 0.9908)  2 V 1.81-1.99, 1 Mg 1.99
Ni (0.9144, 0.9141, 0.2502)  4 O 2.00-2.15
Mn (0.0792, 0.0795, 0.7500)  6 O 2.09-2.23
O (0.0047, 0.8235, 0.6186)  1 V 1.77
O (0.9529, 0.1889, 0.3487)  1 V 1.72
O (0.3611, 0.6581, 0.5083)  2 V 1.81-1.99, 1 Mg 2.00
V (0.3644, 0.8092, 0.2006)  4 O 1.72-1.81

Output
The volume is 14.49 Å³ per atom. Its energy above the most stable polymorph in this dataset is 0 meV per atom.


(5)
# YV4Cu3O12

Crystalline YV4Cu3O12 at its relaxed geometry (PBE with a Hubbard U, the Materials Project).

Unit cell a=6.4173 b=6.4173 c=6.4173 alpha=109.43 beta=109.43 gamma=109.43
Closest atoms and distances in Å follow each position.
Element x y z (fractional)
O (0.4722, 0.1729, 0.2932)  2 V 1.94-1.98, 1 Cu 1.99
O (0.2932, 0.4722, 0.1729)  2 V 1.94-1.98, 1 Cu 1.99
O (0.8271, 0.7068, 0.5278)  2 V 1.94-1.98, 1 Cu 1.99
O (0.1726, 0.6999, 0.8758)  2 V 1.96-1.98, 1 Cu 1.98
V (0.5000, 0.5000, 0.5000)  6 O 1.98
O (0.1242, 0.8274, 0.3001)  2 V 1.96-1.98, 1 Cu 1.98
O (0.5278, 0.8271, 0.7068)  2 V 1.94-1.98, 1 Cu 1.99
Cu (0.5000, 0.0000, 0.5000)  4 O 1.98-1.99
V (0.5000, 0.0000, 0.0000)  6 O 1.94-1.98
Y (0.0000, 0.0000, 0.0000)  12 O 2.56
Cu (0.5000, 0.5000, 0.0000)  4 O 1.98-1.99
V (0.0000, 0.0000, 0.5000)  6 O 1.94-1.98
O (0.7068, 0.5278, 0.8271)  2 V 1.94-1.98, 1 Cu 1.99
O (0.8274, 0.3001, 0.1242)  2 V 1.96-1.98, 1 Cu 1.98
V (0.0000, 0.5000, 0.0000)  6 O 1.94-1.98
O (0.6999, 0.8758, 0.1726)  2 V 1.96-1.98, 1 Cu 1.98
O (0.1729, 0.2932, 0.4722)  2 V 1.94-1.98, 1 Cu 1.99
O (0.3001, 0.1242, 0.8274)  2 V 1.96-1.98, 1 Cu 1.98
Cu (0.0000, 0.5000, 0.5000)  4 O 1.98-1.99
O (0.8758, 0.1726, 0.6999)  2 V 1.96-1.98, 1 Cu 1.98

Output
The volume is 10.19 Å³ per atom. Its energy above the most stable polymorph in this dataset is 43 meV per atom.


(6)
# Li9Mn2Co5O16

Crystalline Li9Mn2Co5O16 at its relaxed geometry (PBE with a Hubbard U, the Materials Project).

Unit cell a=5.8870 b=5.8897 c=8.6209 alpha=88.23 beta=70.30 gamma=87.73
Closest atoms and distances in Å follow each position.
Element x y z (fractional)
Co (0.4907, 0.9925, 0.0051)  4 O 1.83-2.00
O (0.6146, 0.4686, 0.7449)  1 Mn 1.95, 2 Co 1.96-2.06, 1 Li 2.11
Li (0.3770, 0.7476, 0.7470)  6 O 2.04-2.14
O (0.0116, 0.7315, 0.5061)  2 Co 1.88-2.04, 3 Li 1.97-2.09
Li (0.6243, 0.2542, 0.2521)  6 O 2.03-2.21
Co (0.2527, 0.5076, 0.4971)  4 O 1.88-1.97
Co (0.7616, 0.5089, 0.4933)  5 O 1.86-2.06
O (0.7570, 0.7739, 0.0046)  1 Mn 1.96, 2 Co 1.99, 2 Li 2.09
O (0.2342, 0.7637, 0.9973)  1 Mn 1.89, 3 Li 2.04-2.08, 1 Co 2.08
Co (0.6284, 0.7504, 0.2499)  6 O 1.91-1.99
O (0.5292, 0.7435, 0.4851)  2 Co 1.91-1.92, 2 Li 2.05-2.13
O (0.9758, 0.2574, 0.5136)  2 Co 1.89-1.95, 2 Li 2.10
Li (0.4897, 0.5081, 0.0127)  5 O 2.05-2.25
O (0.3915, 0.5220, 0.2639)  2 Co 1.90-1.95, 3 Li 2.03-2.05
Co (0.8749, 0.2507, 0.7468)  4 O 1.89-1.97
Li (0.9977, 0.5058, 0.0106)  6 O 2.06-2.21
O (0.1420, 0.4866, 0.7396)  1 Mn 1.92, 2 Co 1.97-2.12, 2 Li 2.12-2.14
O (0.4807, 0.2632, 0.5158)  1 Mn 1.89, 1 Co 1.97
Li (0.1257, 0.7468, 0.2520)  6 O 2.04-2.16
Mn (0.9973, 0.9936, 0.0053)  6 O 1.86-2.02
Li (0.2503, 0.9914, 0.4894)  6 O 2.09-2.20
Li (0.1215, 0.2530, 0.2554)  6 O 2.10-2.31
O (0.3999, 0.9914, 0.2299)  2 Co 1.83-1.96
Mn (0.3722, 0.2496, 0.7489)  6 O 1.89-1.99
O (0.8667, 0.9872, 0.2340)  1 Mn 1.86, 1 Co 1.99, 3 Li 2.05-2.08
O (0.2395, 0.2260, 0.9942)  2 Mn 1.99, 1 Co 2.00, 2 Li 2.11-2.13
O (0.6006, 0.0102, 0.7662)  2 Co 1.94-2.15, 1 Mn 1.95, 2 Li 2.12-2.16
O (0.7706, 0.2398, 0.9807)  1 Co 1.90, 1 Mn 1.99
O (0.1278, 0.0270, 0.7570)  2 Mn 1.97-2.02, 1 Co 1.97, 2 Li 2.14-2.19
Li (0.7623, 0.9916, 0.4891)  6 O 2.05-2.26
Li (0.8762, 0.7482, 0.7480)  4 O 1.97-2.16
O (0.8559, 0.5083, 0.2642)  2 Co 1.86-1.95, 1 Li 2.06

Output
The volume is 8.79 Å³ per atom. Its energy above the most stable polymorph in this dataset is 29 meV per atom.


no.,total magnetization (Bohr magnetons per cell)
1,24.0
2,0.0
3,2.0
4,9.0
5,1.5
6,10.0